1.
! NaRh2O4 PBE optimized geometry; values from VASP
! Energy relative to the elements in eV/atom: -1.389
&SYSTEM
  ibrav = 0, nat = 28, ntyp = 3
/
ATOMIC_SPECIES
Na 22.99 Na.upf
Rh 102.91 Rh.upf
O 16.00 O.upf
CELL_PARAMETERS angstrom
9.102 0.000 0.000
0.000 3.101 0.000
0.000 0.000 10.902
ATOMIC_POSITIONS crystal
Na 0.237 0.250 0.157
Na 0.263 0.750 0.657
Na 0.737 0.250 0.343
Na 0.763 0.750 0.843
Rh 0.057 0.250 0.384
Rh 0.086 0.250 0.897
Rh 0.414 0.750 0.397
Rh 0.443 0.750 0.884
Rh 0.557 0.250 0.116
Rh 0.586 0.250 0.603
Rh 0.914 0.750 0.103
Rh 0.943 0.750 0.616
O 0.033 0.750 0.787
O 0.082 0.250 0.570
O 0.116 0.750 0.020
O 0.197 0.750 0.340
O 0.303 0.250 0.840
O 0.384 0.250 0.520
O 0.418 0.750 0.070
O 0.467 0.250 0.287
O 0.533 0.750 0.713
O 0.582 0.250 0.930
O 0.616 0.750 0.480
O 0.697 0.750 0.160
O 0.803 0.250 0.660
O 0.884 0.250 0.980
O 0.918 0.750 0.430
O 0.967 0.250 0.213

=====

2.
! Li3Cu3P2O8 PBE optimized geometry; values from VASP
! Energy relative to the elements in eV/atom: -2.062
&SYSTEM
  ibrav = 0, nat = 32, ntyp = 4
/
ATOMIC_SPECIES
Li 6.94 Li.upf
Cu 63.55 Cu.upf
P 30.97 P.upf
O 16.00 O.upf
CELL_PARAMETERS angstrom
5.449 0.000 0.000
-0.060 6.214 0.000
-0.039 -0.023 10.188
ATOMIC_POSITIONS crystal
Li 0.000 0.000 0.000
Li 0.000 0.003 0.501
Li 0.345 0.995 0.749
Li 0.519 0.748 0.500
Li 0.825 0.249 0.252
Li 0.827 0.251 0.750
Cu 0.002 0.499 0.002
Cu 0.009 0.491 0.501
Cu 0.328 0.994 0.255
Cu 0.329 0.503 0.251
Cu 0.337 0.513 0.748
Cu 0.488 0.751 0.999
P 0.502 0.242 0.506
P 0.506 0.241 0.000
P 0.847 0.754 0.255
P 0.848 0.758 0.749
O 0.352 0.046 0.947
O 0.354 0.039 0.459
O 0.371 0.449 0.951
O 0.377 0.454 0.458
O 0.507 0.240 0.659
O 0.515 0.243 0.153
O 0.577 0.749 0.204
O 0.580 0.764 0.696
O 0.767 0.234 0.449
O 0.771 0.235 0.944
O 0.847 0.761 0.408
O 0.853 0.763 0.903
O 0.969 0.542 0.704
O 0.970 0.540 0.208
O 0.974 0.958 0.197
O 0.992 0.958 0.696

=====

3.
! SXeO3F2 PBE optimized geometry; values from VASP
! Energy relative to the elements in eV/atom: -1.322
&SYSTEM
  ibrav = 0, nat = 56, ntyp = 4
/
ATOMIC_SPECIES
S 32.06 S.upf
Xe 131.29 Xe.upf
O 16.00 O.upf
F 19.00 F.upf
CELL_PARAMETERS angstrom
10.277 0.000 0.000
0.000 10.415 0.000
0.000 0.000 10.553
ATOMIC_POSITIONS crystal
S 0.037 0.227 0.015
S 0.037 0.273 0.515
S 0.463 0.727 0.015
S 0.463 0.773 0.515
S 0.537 0.227 0.485
S 0.537 0.273 0.985
S 0.963 0.727 0.485
S 0.963 0.773 0.985
Xe 0.175 0.052 0.333
Xe 0.175 0.448 0.833
Xe 0.325 0.552 0.333
Xe 0.325 0.948 0.833
Xe 0.675 0.052 0.167
Xe 0.675 0.448 0.667
Xe 0.825 0.552 0.167
Xe 0.825 0.948 0.667
O 0.021 0.139 0.457
O 0.021 0.361 0.957
O 0.039 0.721 0.371
O 0.039 0.779 0.871
O 0.168 0.180 0.011
O 0.168 0.320 0.511
O 0.332 0.680 0.011
O 0.332 0.820 0.511
O 0.461 0.221 0.371
O 0.461 0.279 0.871
O 0.479 0.639 0.457
O 0.479 0.861 0.957
O 0.521 0.139 0.043
O 0.521 0.361 0.543
O 0.539 0.721 0.129
O 0.539 0.779 0.629
O 0.668 0.180 0.489
O 0.668 0.320 0.989
O 0.832 0.680 0.489
O 0.832 0.820 0.989
O 0.961 0.221 0.129
O 0.961 0.279 0.629
O 0.979 0.639 0.043
O 0.979 0.861 0.543
F 0.042 0.641 0.586
F 0.042 0.859 0.086
F 0.189 0.039 0.722
F 0.189 0.461 0.222
F 0.311 0.539 0.722
F 0.311 0.961 0.222
F 0.458 0.141 0.586
F 0.458 0.359 0.086
F 0.542 0.641 0.914
F 0.542 0.859 0.414
F 0.689 0.039 0.778
F 0.689 0.461 0.278
F 0.811 0.539 0.778
F 0.811 0.961 0.278
F 0.958 0.141 0.914
F 0.958 0.359 0.414

=====

no.,MP2020-corrected energy (eV per atom)
1,-6.509
2,-6.339
3,-4.585